Density functional theory data (PBE with a Hubbard U) for a geometry-optimized Lu2Co2O7 structure.

```
Lu2Co2O7
1.0
-0.612 -6.625 1.740
-3.862 -1.795 5.400
-5.968 -3.275 -0.977
Lu Co O
4 4 14
Direct
0.625 0.625 0.125
0.625 0.625 0.625
0.625 0.125 0.625
0.125 0.625 0.625
0.125 0.125 0.125
0.625 0.125 0.125
0.125 0.125 0.625
0.125 0.625 0.125
0.044 0.456 0.456
0.794 0.794 0.206
0.794 0.206 0.206
0.456 0.044 0.456
0.750 0.750 0.750
0.044 0.456 0.044
0.044 0.044 0.456
0.206 0.794 0.206
0.206 0.206 0.794
0.794 0.206 0.794
0.500 0.500 0.500
0.456 0.044 0.044
0.456 0.456 0.044
0.206 0.794 0.794
```

Values from the calculation:
Space-group type: No. 227
Energy of formation from the pure elements (eV/atom): -2.455

Density functional theory data (PBE with a Hubbard U) for a geometry-optimized NaMn3V4O12 structure.

```
NaMn3V4O12
1.0
-3.749 3.757 -3.749
3.757 -3.749 -3.749
-3.742 -3.742 -3.741
Na Mn V O
1 3 4 12
Direct
0.000 0.000 0.000
0.500 0.001 0.499
0.500 0.500 0.000
0.999 0.499 0.500
0.000 0.500 0.000
0.500 0.500 0.500
0.500 0.000 0.000
0.000 0.000 0.500
0.106 0.812 0.694
0.498 0.190 0.710
0.502 0.810 0.289
0.894 0.189 0.306
0.705 0.894 0.801
0.692 0.502 0.208
0.308 0.498 0.792
0.295 0.107 0.199
0.188 0.295 0.506
0.810 0.308 0.900
0.190 0.692 0.100
0.812 0.705 0.494
```

Values from the calculation:
Space-group type: No. 1
Distance to the lowest polymorph of the same formula (eV/f.u.): 0.39
Total magnetic moment (μB per atom): 0.900
Energy of formation from the pure elements (eV/atom): -2.291

Density functional theory data (PBE with a Hubbard U) for a geometry-optimized Li4V3P8O29 structure.

```
Li4V3P8O29
1.0
9.759 0.000 0.000
-4.879 8.472 0.000
-0.061 -0.051 14.242
Li V P O
8 6 16 58
Direct
0.223 0.920 0.450
0.093 0.317 0.444
0.232 0.334 0.943
0.668 0.903 0.940
0.687 0.771 0.437
0.323 0.093 0.055
0.776 0.090 0.561
0.977 0.948 0.994
0.433 0.436 0.746
0.570 0.565 0.252
0.434 0.000 0.250
0.567 0.000 0.752
0.004 0.570 0.757
0.998 0.437 0.241
0.082 0.781 0.156
0.227 0.910 0.664
0.086 0.320 0.658
0.335 0.662 0.871
0.332 0.668 0.367
0.230 0.315 0.158
0.314 0.228 0.340
0.685 0.910 0.159
0.315 0.092 0.842
0.681 0.770 0.654
0.777 0.695 0.836
0.673 0.337 0.634
0.662 0.329 0.132
0.919 0.686 0.341
0.775 0.094 0.339
0.918 0.223 0.840
0.015 0.764 0.425
0.083 0.742 0.673
0.225 0.023 0.930
0.259 0.918 0.163
0.077 0.618 0.165
0.190 0.669 0.826
0.094 0.478 0.679
0.010 0.207 0.919
0.086 0.341 0.168
0.336 0.820 0.322
0.380 0.901 0.685
0.186 0.523 0.320
0.323 0.642 0.975
0.319 0.674 0.471
0.325 0.509 0.825
0.528 0.912 0.175
0.490 0.810 0.837
0.255 0.342 0.665
0.212 0.200 0.244
0.224 0.231 0.422
0.222 0.230 0.069
0.383 0.471 0.172
0.486 0.671 0.335
0.343 0.265 0.834
0.519 0.622 0.678
0.666 0.920 0.661
0.207 0.004 0.751
0.238 0.990 0.574
0.761 0.004 0.427
0.340 0.082 0.340
0.474 0.381 0.325
0.656 0.742 0.174
0.528 0.343 0.681
0.616 0.541 0.830
0.795 0.804 0.915
0.744 0.755 0.562
0.799 0.787 0.738
0.751 0.663 0.341
0.507 0.182 0.176
0.470 0.092 0.831
0.672 0.478 0.175
0.650 0.311 0.029
0.673 0.344 0.531
0.820 0.477 0.684
0.622 0.101 0.320
0.670 0.183 0.670
0.913 0.656 0.837
0.001 0.795 0.250
0.008 0.805 0.072
0.908 0.525 0.317
0.810 0.323 0.175
0.922 0.383 0.833
0.744 0.084 0.839
0.762 0.979 0.068
0.796 0.007 0.248
0.921 0.261 0.339
0.004 0.245 0.567
0.987 0.200 0.741
```

Values from the calculation:
Space-group type: No. 1
Distance to the lowest polymorph of the same formula (eV/f.u.): 0.41
Total magnetic moment (μB per atom): 0.023
Energy of formation from the pure elements (eV/atom): -2.574

Density functional theory data (PBE with a Hubbard U) for a geometry-optimized RbW3O9 structure.

```
RbW3O9
1.0
7.491 0.000 0.000
-3.745 6.487 0.000
0.000 0.000 7.699
Rb W O
2 6 18
Direct
0.000 0.000 0.502
0.000 0.000 0.002
0.514 0.000 0.750
0.514 0.514 0.250
0.000 0.486 0.250
0.000 0.514 0.750
0.486 0.486 0.750
0.486 0.000 0.250
0.500 0.000 0.500
0.500 0.500 0.000
0.000 0.500 0.000
0.000 0.500 0.500
0.500 0.500 0.500
0.500 0.000 0.000
0.787 0.578 0.750
0.209 0.787 0.250
0.422 0.213 0.250
0.209 0.422 0.750
0.213 0.791 0.750
0.787 0.209 0.250
0.791 0.578 0.250
0.578 0.787 0.750
0.213 0.422 0.250
0.791 0.213 0.750
0.422 0.209 0.750
0.578 0.791 0.250
```

Values from the calculation:
Space-group type: No. 185
Distance to the lowest polymorph of the same formula (eV/f.u.): 0.22
Total magnetic moment (μB per atom): 0.076
Energy of formation from the pure elements (eV/atom): -2.225

Density functional theory data (PBE with a Hubbard U) for a geometry-optimized V4OF11 structure.

```
V4OF11
1.0
-4.516 -2.552 -0.949
-2.289 -2.868 4.023
-11.135 12.422 5.146
V O F
8 2 22
Direct
0.242 0.260 0.752
0.758 0.740 0.248
0.879 0.854 0.871
0.377 0.371 0.375
0.500 0.500 0.000
0.000 0.000 0.500
0.623 0.629 0.625
0.121 0.146 0.129
0.025 0.422 0.184
0.975 0.578 0.816
0.464 0.461 0.713
0.534 0.943 0.689
0.258 0.675 0.914
0.969 0.955 0.211
0.767 0.158 0.411
0.012 0.413 0.663
0.031 0.045 0.789
0.536 0.539 0.287
0.742 0.325 0.086
0.783 0.181 0.935
0.466 0.057 0.311
0.713 0.715 0.963
0.512 0.915 0.161
0.213 0.213 0.462
0.233 0.842 0.589
0.287 0.285 0.037
0.488 0.085 0.839
0.988 0.587 0.337
0.294 0.684 0.438
0.706 0.316 0.562
0.217 0.819 0.065
0.787 0.787 0.538
```

Values from the calculation:
Space-group type: No. 2
Distance to the lowest polymorph of the same formula (eV/f.u.): 0.00
Total magnetic moment (μB per atom): 0.438
Energy of formation from the pure elements (eV/atom): -3.130

Density functional theory data (PBE with a Hubbard U) for a geometry-optimized SrCrF4 structure.

```
SrCrF4
1.0
-1.416 -5.502 0.578
5.545 -1.404 0.223
1.993 -2.849 5.971
Sr Cr F
2 2 8
Direct
0.500 0.000 0.000
0.000 0.500 0.000
0.750 0.750 0.500
0.250 0.250 0.500
0.316 0.939 0.744
0.816 0.817 0.744
0.184 0.183 0.256
0.560 0.561 0.256
0.060 0.683 0.256
0.940 0.317 0.744
0.440 0.439 0.744
0.684 0.061 0.256
```

Values from the calculation:
Space-group type: No. 72
Distance to the lowest polymorph of the same formula (eV/f.u.): 0.85
Total magnetic moment (μB per atom): 0.667
Energy of formation from the pure elements (eV/atom): -3.401

Density functional theory data (PBE with a Hubbard U) for a geometry-optimized Mg14NbCrO16 structure.

```
Mg14NbCrO16
1.0
8.650 0.000 0.000
0.000 8.650 0.000
0.000 0.000 4.297
Mg Nb Cr O
14 1 1 16
Direct
0.000 0.500 0.000
0.500 0.000 0.000
0.000 0.257 0.500
0.000 0.743 0.500
0.500 0.249 0.500
0.500 0.751 0.500
0.257 0.000 0.500
0.249 0.500 0.500
0.743 0.000 0.500
0.751 0.500 0.500
0.253 0.253 0.000
0.253 0.747 0.000
0.747 0.253 0.000
0.747 0.747 0.000
0.000 0.000 0.000
0.500 0.500 0.000
0.258 0.000 0.000
0.239 0.500 0.000
0.742 0.000 0.000
0.761 0.500 0.000
0.249 0.249 0.500
0.249 0.751 0.500
0.751 0.249 0.500
0.751 0.751 0.500
0.000 0.000 0.500
0.000 0.500 0.500
0.500 0.000 0.500
0.500 0.500 0.500
0.000 0.258 0.000
0.000 0.742 0.000
0.500 0.239 0.000
0.500 0.761 0.000
```

Values from the calculation:
Space-group type: No. 123
Distance to the lowest polymorph of the same formula (eV/f.u.): 0.00
Energy of formation from the pure elements (eV/atom): -2.816

Density functional theory data (PBE with a Hubbard U) for a geometry-optimized WSF4 structure.

```
WSF4
1.0
5.774 0.000 0.000
0.000 9.846 0.000
0.000 0.000 17.691
W S F
8 8 32
Direct
0.465 0.996 0.347
0.535 0.496 0.653
0.535 0.996 0.847
0.465 0.496 0.153
0.158 0.604 0.371
0.842 0.104 0.629
0.842 0.604 0.871
0.158 0.104 0.129
0.592 0.196 0.363
0.408 0.696 0.637
0.408 0.196 0.863
0.592 0.696 0.137
0.013 0.690 0.470
0.987 0.190 0.530
0.987 0.690 0.970
0.013 0.190 0.030
0.308 0.764 0.327
0.692 0.264 0.673
0.692 0.764 0.827
0.308 0.264 0.173
0.326 0.511 0.254
0.674 0.011 0.746
0.674 0.511 0.754
0.326 0.011 0.246
0.552 0.911 0.439
0.448 0.411 0.561
0.448 0.911 0.939
0.552 0.411 0.061
0.157 0.009 0.385
0.843 0.509 0.615
0.843 0.009 0.885
0.157 0.509 0.115
0.068 0.920 0.120
0.932 0.420 0.880
0.932 0.920 0.620
0.068 0.420 0.380
0.460 0.054 0.098
0.540 0.554 0.902
0.540 0.054 0.598
0.460 0.554 0.402
0.922 0.131 0.201
0.078 0.631 0.799
0.078 0.131 0.701
0.922 0.631 0.299
0.713 0.408 0.202
0.287 0.908 0.798
0.287 0.408 0.702
0.713 0.908 0.298
```

Values from the calculation:
Space-group type: No. 29
Total magnetic moment (μB per atom): 0.000
Energy of formation from the pure elements (eV/atom): -2.235

Density functional theory data (PBE with a Hubbard U) for a geometry-optimized NaNiO2 structure.

```
NaNiO2
1.0
-3.932 -3.427 1.992
-3.066 -4.624 -0.627
-1.421 -5.073 1.849
Na Ni O
1 1 2
Direct
0.500 0.500 0.500
0.000 0.000 0.000
0.268 0.268 0.268
0.732 0.732 0.732
```

Values from the calculation:
Space-group type: No. 166
Energy of formation from the pure elements (eV/atom): -1.319

Density functional theory data (PBE with a Hubbard U) for a geometry-optimized Li4VO3F2 structure.

```
Li4VO3F2
1.0
-0.953 -1.529 4.837
1.823 5.750 4.726
-10.325 0.041 -0.219
Li V O F
16 4 12 8
Direct
0.917 0.689 0.746
0.917 0.689 0.246
0.488 0.511 0.732
0.488 0.510 0.232
0.503 0.010 0.493
0.503 0.010 0.993
0.273 0.914 0.746
0.273 0.914 0.246
0.288 0.405 0.499
0.288 0.405 0.999
0.693 0.593 0.505
0.693 0.593 0.005
0.674 0.103 0.265
0.674 0.104 0.765
0.108 0.302 0.253
0.108 0.302 0.753
0.946 0.192 0.500
0.110 0.783 0.000
0.946 0.192 0.000
0.110 0.783 0.500
0.898 0.966 0.895
0.898 0.966 0.395
0.891 0.427 0.618
0.891 0.427 0.118
0.287 0.665 0.616
0.287 0.665 0.116
0.284 0.152 0.379
0.284 0.152 0.879
0.093 0.577 0.380
0.093 0.577 0.880
0.108 0.036 0.108
0.109 0.036 0.608
0.507 0.249 0.130
0.507 0.249 0.630
0.722 0.844 0.626
0.722 0.844 0.126
0.716 0.339 0.380
0.716 0.339 0.880
0.494 0.742 0.377
0.494 0.742 0.877
```

Values from the calculation:
Distance to the lowest polymorph of the same formula (eV/f.u.): 0.00
Total magnetic moment (μB per atom): 0.004
Energy of formation from the pure elements (eV/atom): -2.677